1.
Here is Rh3W after structural relaxation from the Materials Project database. Energies are from PBE.

a = 2.781 Å, b = 2.781 Å, c = 8.829 Å
α = 90.00°, β = 90.00°, γ = 120.00°
Atoms (fractional coordinates):
Rh  0.000  0.000  0.000
Rh  0.333  0.667  0.745
Rh  0.333  0.667  0.255
W  0.000  0.000  0.500

Results
The calculation puts the formation energy at -7 kJ/mol of atoms. As for the raw total energy: -8.834 eV per atom. As for the volume: 14.779 Å³/atom. The total moment comes out at 0.06 μB/f.u.

***

2.
Here is Rh3W after structural relaxation from the Materials Project database. Energies are from PBE.

a = 5.524 Å, b = 5.524 Å, c = 4.393 Å
α = 90.00°, β = 90.00°, γ = 120.00°
Atoms (fractional coordinates):
Rh  0.833  0.666  0.250
Rh  0.167  0.833  0.750
Rh  0.666  0.833  0.750
Rh  0.334  0.167  0.250
Rh  0.833  0.167  0.250
Rh  0.167  0.334  0.750
W  0.333  0.667  0.250
W  0.667  0.333  0.750

Results
The calculation puts the formation energy at -25 kJ/mol of atoms. As for the raw total energy: -9.025 eV per atom. As for the volume: 14.511 Å³/atom.

***

3.
Here is YRh5 after structural relaxation from the Materials Project database. Energies are from PBE.

a = 4.331 Å, b = 5.253 Å, c = 5.253 Å
α = 120.00°, β = 90.00°, γ = 90.00°
Atoms (fractional coordinates):
Y  0.000  0.000  0.000
Rh  0.000  0.667  0.333
Rh  0.500  0.000  0.500
Rh  0.500  0.500  0.500
Rh  0.500  0.500  0.000
Rh  0.000  0.333  0.667

Results
The calculation puts the formation energy at -28 kJ/mol of atoms. As for the raw total energy: -7.507 eV per atom. As for the volume: 17.251 Å³/atom. The total moment comes out at 0.00 μB/f.u.

***

4.
Here is YRh after structural relaxation from the Materials Project database. Energies are from PBE.

a = 3.444 Å, b = 3.444 Å, c = 3.444 Å
α = 90.00°, β = 90.00°, γ = 90.00°
Atoms (fractional coordinates):
Y  0.500  0.500  0.500
Rh  0.000  0.000  0.000

Results
The calculation puts the formation energy at -82 kJ/mol of atoms. As for the raw total energy: -7.767 eV per atom. As for the volume: 20.424 Å³/atom.

***

5.
Here is Y7Rh3 after structural relaxation from the Materials Project database. Energies are from PBE.

a = 9.828 Å, b = 9.828 Å, c = 6.220 Å
α = 90.00°, β = 90.00°, γ = 120.00°
Atoms (fractional coordinates):
Y  0.333  0.667  0.456
Y  0.667  0.333  0.956
Y  0.125  0.875  0.254
Y  0.751  0.875  0.254
Y  0.125  0.249  0.254
Y  0.875  0.125  0.754
Y  0.249  0.125  0.754
Y  0.875  0.751  0.754
Y  0.541  0.459  0.445
Y  0.918  0.459  0.445
Y  0.541  0.082  0.445
Y  0.459  0.541  0.945
Y  0.082  0.541  0.945
Y  0.459  0.918  0.945
Rh  0.810  0.190  0.180
Rh  0.380  0.190  0.180
Rh  0.810  0.620  0.180
Rh  0.190  0.810  0.680
Rh  0.620  0.810  0.680
Rh  0.190  0.380  0.680

Results
The calculation puts the formation energy at -58 kJ/mol of atoms. As for the raw total energy: -7.332 eV per atom. As for the volume: 26.017 Å³/atom.

***

6.
Here is YRh2 after structural relaxation from the Materials Project database. Energies are from PBE.

a = 5.356 Å, b = 5.356 Å, c = 5.356 Å
α = 60.00°, β = 60.00°, γ = 60.00°
Atoms (fractional coordinates):
Y  0.000  0.000  0.000
Y  0.250  0.250  0.250
Rh  0.125  0.625  0.625
Rh  0.625  0.625  0.625
Rh  0.625  0.625  0.125
Rh  0.625  0.125  0.625

Results
The calculation puts the formation energy at -71 kJ/mol of atoms. As for the raw total energy: -7.797 eV per atom. As for the volume: 18.106 Å³/atom.

***

7.
Here is Y4Rh after structural relaxation from the Materials Project database. Energies are from PBE.

a = 7.682 Å, b = 7.682 Å, c = 7.682 Å
α = 60.00°, β = 60.00°, γ = 60.00°
Atoms (fractional coordinates):
Y  0.612  0.612  0.612
Y  0.165  0.612  0.612
Y  0.612  0.165  0.612
Y  0.585  0.138  0.138
Y  0.138  0.138  0.138
Y  0.612  0.612  0.165
Y  0.138  0.585  0.138
Y  0.138  0.138  0.585
Rh  0.000  0.000  0.000
Rh  0.750  0.750  0.750

Results
The calculation puts the formation energy at 10 kJ/mol of atoms. As for the raw total energy: -6.547 eV per atom. As for the volume: 32.053 Å³/atom. The total moment comes out at 0.04 μB/f.u.

***

8.
Here is Y3Rh after structural relaxation from the Materials Project database. Energies are from PBE.

a = 6.304 Å, b = 7.242 Å, c = 9.527 Å
α = 90.00°, β = 90.00°, γ = 90.00°
Atoms (fractional coordinates):
Y  0.639  0.035  0.250
Y  0.361  0.965  0.750
Y  0.139  0.465  0.750
Y  0.861  0.535  0.250
Y  0.170  0.179  0.064
Y  0.830  0.821  0.936
Y  0.670  0.321  0.936
Y  0.830  0.821  0.564
Y  0.330  0.679  0.064
Y  0.170  0.179  0.436
Y  0.330  0.679  0.436
Y  0.670  0.321  0.564
Rh  0.444  0.383  0.250
Rh  0.556  0.617  0.750
Rh  0.944  0.117  0.750
Rh  0.056  0.883  0.250

Results
The calculation puts the formation energy at -49 kJ/mol of atoms. As for the raw total energy: -7.198 eV per atom. As for the volume: 27.182 Å³/atom.

***

9.
Here is YRh3 after structural relaxation from the Materials Project database. Energies are from PBE.

a = 5.265 Å, b = 5.265 Å, c = 17.595 Å
α = 90.00°, β = 90.00°, γ = 120.00°
Atoms (fractional coordinates):
Y  0.333  0.667  0.958
Y  0.667  0.333  0.042
Y  0.667  0.333  0.458
Y  0.333  0.667  0.542
Y  0.333  0.667  0.750
Y  0.667  0.333  0.250
Rh  0.167  0.833  0.374
Rh  0.167  0.334  0.374
Rh  0.666  0.833  0.374
Rh  0.833  0.167  0.626
Rh  0.833  0.666  0.626
Rh  0.334  0.167  0.626
Rh  0.833  0.167  0.874
Rh  0.833  0.666  0.874
Rh  0.334  0.167  0.874
Rh  0.167  0.833  0.126
Rh  0.167  0.334  0.126
Rh  0.666  0.833  0.126
Rh  0.333  0.667  0.250
Rh  0.667  0.333  0.750
Rh  0.000  0.000  0.250
Rh  0.000  0.000  0.750
Rh  0.000  0.000  0.500
Rh  0.000  0.000  0.000

Results
The calculation puts the formation energy at -54 kJ/mol of atoms. As for the raw total energy: -7.703 eV per atom. As for the volume: 17.602 Å³/atom.

***

10.
Here is YZnRh after structural relaxation from the Materials Project database. Energies are from PBE.

a = 4.110 Å, b = 6.970 Å, c = 8.058 Å
α = 90.00°, β = 90.00°, γ = 90.00°
Atoms (fractional coordinates):
Y  0.250  0.532  0.185
Y  0.750  0.468  0.815
Y  0.750  0.968  0.685
Y  0.250  0.032  0.315
Zn  0.250  0.643  0.565
Zn  0.750  0.357  0.435
Zn  0.750  0.857  0.065
Zn  0.250  0.143  0.935
Rh  0.250  0.762  0.878
Rh  0.750  0.238  0.122
Rh  0.750  0.738  0.378
Rh  0.250  0.262  0.622

Results
The calculation puts the formation energy at -70 kJ/mol of atoms. As for the raw total energy: -5.753 eV per atom. As for the volume: 19.236 Å³/atom.

***

11.
Here is Zn11Rh2 after structural relaxation from the Materials Project database. Energies are from PBE.

a = 7.913 Å, b = 7.913 Å, c = 7.913 Å
α = 109.47°, β = 109.47°, γ = 109.47°
Atoms (fractional coordinates):
Zn  0.000  0.787  0.000
Zn  0.787  0.000  0.000
Zn  0.000  0.000  0.787
Zn  0.213  0.213  0.213
Zn  0.351  0.617  0.351
Zn  0.266  0.000  0.649
Zn  0.649  0.000  0.266
Zn  0.266  0.649  0.000
Zn  0.734  0.734  0.383
Zn  0.383  0.734  0.734
Zn  0.000  0.649  0.266
Zn  0.000  0.266  0.649
Zn  0.649  0.266  0.000
Zn  0.351  0.351  0.617
Zn  0.617  0.351  0.351
Zn  0.734  0.383  0.734
Zn  0.356  0.356  0.000
Zn  0.000  0.644  0.644
Zn  0.000  0.356  0.356
Zn  0.356  0.000  0.356
Zn  0.644  0.000  0.644
Zn  0.644  0.644  0.000
Rh  0.000  0.343  0.000
Rh  0.343  0.000  0.000
Rh  0.000  0.000  0.343
Rh  0.657  0.657  0.657

Results
The calculation puts the formation energy at -25 kJ/mol of atoms. As for the raw total energy: -2.461 eV per atom. As for the volume: 14.667 Å³/atom.

***

12.
Here is ZrRh after structural relaxation from the Materials Project database. Energies are from PBE.

a = 4.492 Å, b = 5.360 Å, c = 6.154 Å
α = 90.00°, β = 90.00°, γ = 90.00°
Atoms (fractional coordinates):
Zr  0.750  0.862  0.826
Zr  0.250  0.362  0.674
Zr  0.750  0.638  0.326
Zr  0.250  0.138  0.174
Rh  0.750  0.166  0.451
Rh  0.250  0.834  0.549
Rh  0.250  0.666  0.049
Rh  0.750  0.334  0.951

Results
The calculation puts the formation energy at -77 kJ/mol of atoms. As for the raw total energy: -8.753 eV per atom. As for the volume: 18.522 Å³/atom.